VASP calculation (GGA-PBE) on a relaxed Ca2Ge crystal.

Cell: 5.1049 5.1049 5.1049 Å, 60.00 60.00 60.00°
Last column: nearest neighbours and their distance in Å.
Atoms (fractional coordinates):
Ca 0.7500 0.7500 0.7500  4 Ge 3.13
Ca 0.2500 0.2500 0.2500  4 Ge 3.13
Ge 0.0000 0.0000 0.0000  8 Ca 3.13

Values from the calculation:
**SG**: Fm-3m, No. 225
**Uncorrected energy**: -3.476 eV/atom
**Formation enthalpy at 0 K**: -0.60 eV per atom